Record 1
First-principles (GGA-PBE) data for an optimized crystal structure of ZrTiPb2O6, as listed in Materials Project.

Cell: 5.6932 5.6932 4.4301 Å, 90.00 90.00 90.00°
Positions (direct):
Zr (0.5000, 0.5000, 0.5465)
Ti (0.0000, 0.0000, 0.5376)
Pb (0.5000, 0.0000, 0.9846)
Pb (0.0000, 0.5000, 0.9846)
O (0.7587, 0.2413, 0.6364)
O (0.2413, 0.2413, 0.6364)
O (0.7587, 0.7587, 0.6364)
O (0.2413, 0.7587, 0.6364)
O (0.0000, 0.0000, 0.1420)
O (0.5000, 0.5000, 0.0980)

Computed properties:
* M_tot: 0.00 μB/f.u.
* space-group type: P4mm, No. 99
* relative energy among the computed polymorphs: 0 meV/atom

---

Record 2
First-principles (GGA-PBE) data for an optimized crystal structure of ZrTi2Pb3O9, as listed in Materials Project.

Cell: 3.9900 4.4924 11.8610 Å, 90.00 90.00 90.00°
Positions (direct):
Zr (0.0000, 0.5364, 0.0000)
Ti (0.0000, 0.5299, 0.3379)
Ti (0.0000, 0.5299, 0.6621)
Pb (0.5000, 0.9779, 0.8248)
Pb (0.5000, 0.9779, 0.1752)
Pb (0.5000, 0.9759, 0.5000)
O (0.5000, 0.6467, 0.0000)
O (0.5000, 0.6244, 0.3377)
O (0.5000, 0.6244, 0.6623)
O (0.0000, 0.6308, 0.8229)
O (0.0000, 0.6308, 0.1771)
O (0.0000, 0.6344, 0.5000)
O (0.0000, 0.0982, 0.0000)
O (0.0000, 0.1390, 0.3371)
O (0.0000, 0.1390, 0.6629)

Computed properties:
* M_tot: 0.00 μB/f.u.
* space-group type: Pmm2, No. 25
* relative energy among the computed polymorphs: 0 meV/atom

---

Record 3
First-principles (GGA-PBE) data for an optimized crystal structure of ZrTiPb2O6, as listed in Materials Project.

Cell: 4.1938 5.7754 5.8545 Å, 88.52 88.91 89.30°
Positions (direct):
Zr (0.7719, 0.6430, 0.9186)
Ti (0.7449, 0.1377, 0.4112)
Pb (0.2241, 0.6222, 0.3849)
Pb (0.2294, 0.1357, 0.8620)
O (0.8111, 0.3918, 0.6854)
O (0.7996, 0.9056, 0.2030)
O (0.2833, 0.6589, 0.9602)
O (0.3097, 0.1566, 0.4455)
O (0.8062, 0.4044, 0.2095)
O (0.8099, 0.9212, 0.6867)

Computed properties:
* M_tot: 0.00 μB/f.u.
* space-group type: P1, No. 1
* relative energy among the computed polymorphs: 11 meV/atom

---

Record 4
First-principles (GGA-PBE) data for an optimized crystal structure of Zr3Ti2Pb5O15, as listed in Materials Project.

Cell: 14.9140 14.9140 4.2665 Å, 88.72 88.72 22.43°
Positions (direct):
Zr (0.1092, 0.1092, 0.5373)
Zr (0.9022, 0.9022, 0.5402)
Zr (0.5059, 0.5059, 0.5375)
Ti (0.7065, 0.7065, 0.5181)
Ti (0.3028, 0.3028, 0.5212)
Pb (0.9959, 0.9959, 0.9864)
Pb (0.5999, 0.5999, 0.9846)
Pb (0.2041, 0.2041, 0.9727)
Pb (0.7964, 0.7964, 0.9763)
Pb (0.3930, 0.3930, 0.9861)
O (0.1168, 0.1168, 0.0598)
O (0.7133, 0.7133, 0.0966)
O (0.3083, 0.3083, 0.1015)
O (0.9102, 0.9102, 0.0646)
O (0.5136, 0.5136, 0.0612)
O (0.8036, 0.3206, 0.5889)
O (0.4204, 0.9096, 0.5888)
O (0.0087, 0.5120, 0.5988)
O (0.5878, 0.1235, 0.5993)
O (0.1974, 0.7200, 0.5921)
O (0.3206, 0.8036, 0.5889)
O (0.9096, 0.4204, 0.5888)
O (0.5120, 0.0087, 0.5988)
O (0.1235, 0.5878, 0.5993)
O (0.7200, 0.1974, 0.5921)

Computed properties:
* M_tot: 0.00 μB/f.u.
* space-group type: Cm, No. 8
* relative energy among the computed polymorphs: 3 meV/atom

---

Record-wise raw total energy values, in eV/cell: -77.28, -115.19, -77.17, -193.49
Record-wise calculated volume values, in Å³/cell: 143.6, 212.6, 141.7, 362.0
Record-wise calculated formation energy values, in eV per formula unit: -27.8, -41.4, -27.7, -69.6